Entry 1:
Material: Y2O3
Method: DFT, PBE-GGA
State: optimized geometry

The structure belongs to space group P-3m1 (No. 164); the cell edges are 3.6876, 3.6876 and 5.9191 Å and the angles 90.00°, 90.00° and 120.00°. Symmetry generates all atoms from Y at (0.3333, 0.6667, 0.2496), O at (0.0000, 0.0000, 0.0000) and O at (0.3333, 0.6667, 0.6463).

The calculation puts the formation energy at -1881 kJ/mol of formula units. The uncorrected energy comes out at -45.21 eV for the cell shown.

Entry 2:
Material: Sr3GaAs3
Method: DFT, PBE-GGA
State: optimized geometry

The structure belongs to space group Pnma (No. 62); the cell edges are 12.922, 19.466 and 6.562 Å and the angles 90.00°, 90.00° and 90.00°. Symmetry generates all atoms from Sr at (0.013, 0.074, 0.222), Sr at (0.020, 0.250, 0.831), Sr at (0.232, 0.250, 0.313), Sr at (0.235, 0.073, 0.691), Ga at (0.126, 0.663, 0.486), As at (0.011, 0.590, 0.266), As at (0.016, 0.750, 0.688), As at (0.235, 0.750, 0.289) and As at (0.242, 0.590, 0.706).

The calculation puts the formation energy at -684 kJ/mol of formula units. The uncorrected energy comes out at -233.30 eV for the cell shown.

Entry 3:
Material: B8Ru11
Method: DFT, PBE-GGA
State: optimized geometry

The structure belongs to space group Pbam (No. 55); the cell edges are 11.676, 11.966 and 2.876 Å and the angles 90.00°, 90.00° and 90.00°. Symmetry generates all atoms from B at (0.122, 0.187, 0.000), B at (0.147, 0.521, 0.500), B at (0.149, 0.817, 0.500), B at (0.203, 0.233, 0.500), Ru at (0.000, 0.500, 0.000), Ru at (0.032, 0.300, 0.500), Ru at (0.044, 0.897, 0.000), Ru at (0.164, 0.047, 0.500), Ru at (0.168, 0.671, 0.000) and Ru at (0.215, 0.384, 0.000).

For the total moment, the calculation gives 0.00 μB/f.u. The calculation puts the formation energy at -259 kJ/mol of formula units. The uncorrected energy comes out at -316.27 eV for the cell shown.

Entry 4:
Material: NdCoSb2
Method: DFT, PBE-GGA
State: optimized geometry

The structure belongs to space group P4/nmm (No. 129, origin choice 2); the cell edges are 4.390, 4.390 and 9.860 Å and the angles 90.00°, 90.00° and 90.00°. Symmetry generates all atoms from Nd at (0.250, 0.250, 0.244), Co at (0.250, 0.750, 0.000), Sb at (0.250, 0.250, 0.866) and Sb at (0.250, 0.750, 0.500).

For the total moment, the calculation gives 0.86 μB/f.u. The calculation puts the formation energy at -281 kJ/mol of formula units. The uncorrected energy comes out at -45.32 eV for the cell shown.

Entry 5:
Material: TeAs2
Method: DFT, PBE-GGA
State: optimized geometry

The structure belongs to space group I4_1/amd (No. 141, origin choice 2); the cell edges are 7.113, 7.113 and 5.881 Å and the angles 90.00°, 90.00° and 90.00°. Symmetry generates all atoms from Te at (0.000, 0.250, 0.375) and As at (0.000, 0.000, 0.000).

For the total moment, the calculation gives 0.00 μB/f.u. The calculation puts the formation energy at 60 kJ/mol of formula units. The uncorrected energy comes out at -47.37 eV for the cell shown.

Entry 6:
Material: MgNiH2
Method: DFT, PBE-GGA
State: optimized geometry

The structure belongs to space group P4/mmm (No. 123); the cell edges are 3.324, 3.324 and 3.073 Å and the angles 90.00°, 90.00° and 90.00°. Symmetry generates all atoms from Mg at (0.000, 0.000, 0.000), Ni at (0.500, 0.500, 0.500) and H at (0.000, 0.500, 0.500).

The calculation puts the formation energy at -104 kJ/mol of formula units. The uncorrected energy comes out at -14.88 eV for the cell shown.

Which of these has the lowest formation energy? Y2O3